# 1
# Ca2SiSe4

A geometry-optimized Ca2SiSe4 structure (GGA-PBE, Materials Project).

The density is 3.4 g/cm3. Its space group is Pnma. The calculation puts the formation energy at -1.612 eV/atom.

Cell and atoms, written as POSCAR:
```
Ca2SiSe4
1.0
6.597 0.000 0.000
0.000 8.583 0.000
0.000 0.000 14.449
Ca Se Si
8 16 4
Direct
0.500 0.500 0.500 Ca
0.500 0.000 0.500 Ca
0.511 0.250 0.769 Ca
0.989 0.250 0.269 Ca
0.011 0.750 0.731 Ca
0.000 0.500 0.000 Ca
0.489 0.750 0.231 Ca
0.000 0.000 0.000 Ca
0.749 0.250 0.093 Se
0.772 0.750 0.559 Se
0.238 0.038 0.665 Se
0.762 0.538 0.335 Se
0.728 0.750 0.059 Se
0.751 0.250 0.593 Se
0.249 0.750 0.407 Se
0.238 0.462 0.665 Se
0.251 0.750 0.907 Se
0.228 0.250 0.441 Se
0.272 0.250 0.941 Se
0.762 0.962 0.335 Se
0.262 0.038 0.165 Se
0.262 0.462 0.165 Se
0.738 0.962 0.835 Se
0.738 0.538 0.835 Se
0.903 0.750 0.410 Si
0.097 0.250 0.590 Si
0.403 0.250 0.090 Si
0.597 0.750 0.910 Si
```



# 2
# PrHfO14

A geometry-optimized PrHfO14 structure (GGA-PBE, Materials Project).

The density is 5.7 g/cm3. Its space group is Fd-3m. The calculation puts the formation energy at -0.569 eV/atom.

Cell and atoms, written as POSCAR:
```
PrHfO14
1.0
-5.394 -5.394 0.000
-5.394 0.000 -5.394
0.000 -5.394 -5.394
O Hf Pr
28 2 2
Direct
0.780 0.520 0.520 O
0.230 0.230 0.569 O
0.970 0.230 0.230 O
0.875 0.375 0.875 O
0.780 0.181 0.520 O
0.230 0.970 0.230 O
0.230 0.230 0.970 O
0.181 0.780 0.520 O
0.520 0.520 0.181 O
0.569 0.230 0.230 O
0.970 0.569 0.230 O
0.230 0.569 0.230 O
0.970 0.230 0.569 O
0.520 0.181 0.520 O
0.520 0.181 0.780 O
0.780 0.520 0.181 O
0.230 0.970 0.569 O
0.520 0.520 0.780 O
0.569 0.970 0.230 O
0.520 0.780 0.520 O
0.875 0.875 0.875 O
0.181 0.520 0.520 O
0.520 0.780 0.181 O
0.230 0.569 0.970 O
0.875 0.875 0.375 O
0.375 0.875 0.875 O
0.181 0.520 0.780 O
0.569 0.230 0.970 O
0.250 0.250 0.250 Hf
0.500 0.500 0.500 Hf
0.750 0.750 0.750 Pr
0.000 0.000 0.000 Pr
```



# 3
# LiYTl2

A geometry-optimized LiYTl2 structure (GGA-PBE, Materials Project).

The density is 8.4 g/cm3. Its space group is Fm-3m. The calculation puts the formation energy at -0.326 eV/atom.

Cell and atoms, written as POSCAR:
```
LiYTl2
1.0
0.000 3.683 3.683
3.683 0.000 3.683
3.683 3.683 0.000
Y Li Tl
1 1 2
Direct
0.000 0.000 0.000 Y
0.500 0.500 0.500 Li
0.250 0.250 0.250 Tl
0.750 0.750 0.750 Tl
```



# 4
# Ce5Nd5Si6

A geometry-optimized Ce5Nd5Si6 structure (GGA-PBE, Materials Project).

The density is 6.4 g/cm3. Its space group is Cm. The calculation puts the formation energy at -0.530 eV/atom.

Cell and atoms, written as POSCAR:
```
Ce5Nd5Si6
1.0
6.346 -0.157 4.420
-4.423 -0.971 6.270
1.336 -7.402 4.516
Ce Si Nd
5 6 5
Direct
0.982 0.989 0.027 Ce
0.489 0.482 0.027 Ce
0.678 0.536 0.286 Ce
0.036 0.178 0.286 Ce
0.538 0.038 0.286 Ce
0.116 0.616 0.998 Si
0.254 0.253 0.492 Si
0.615 0.886 0.997 Si
0.753 0.754 0.492 Si
0.888 0.388 0.998 Si
0.386 0.115 0.997 Si
0.328 0.467 0.706 Nd
0.967 0.828 0.706 Nd
0.180 0.680 0.292 Nd
0.468 0.968 0.703 Nd
0.822 0.322 0.710 Nd
```



# 5
# Er2CrS4

A geometry-optimized Er2CrS4 structure (GGA-PBE, Materials Project).

The density is 5.9 g/cm3. Its space group is Pca2_1. The calculation puts the formation energy at -1.878 eV/atom.

Cell and atoms, written as POSCAR:
```
Er2CrS4
1.0
-6.524 2.701 -2.345
0.017 -8.153 -9.440
-6.019 -8.313 7.169
Er Cr S
16 8 32
Direct
0.369 0.134 0.580 Er
0.885 0.628 0.245 Er
0.115 0.372 0.745 Er
0.369 0.366 0.080 Er
0.614 0.393 0.385 Er
0.869 0.134 0.579 Er
0.131 0.866 0.079 Er
0.115 0.128 0.245 Er
0.386 0.893 0.385 Er
0.614 0.107 0.885 Er
0.631 0.866 0.080 Er
0.885 0.872 0.745 Er
0.869 0.366 0.079 Er
0.631 0.634 0.580 Er
0.131 0.634 0.579 Er
0.386 0.607 0.885 Er
0.380 0.873 0.748 Cr
0.620 0.373 0.748 Cr
0.884 0.611 0.878 Cr
0.620 0.127 0.248 Cr
0.116 0.389 0.378 Cr
0.380 0.627 0.248 Cr
0.116 0.111 0.878 Cr
0.884 0.889 0.378 Cr
0.874 0.525 0.704 S
0.624 0.049 0.431 S
0.882 0.789 0.548 S
0.639 0.771 0.298 S
0.617 0.009 0.692 S
0.882 0.711 0.048 S
0.376 0.549 0.431 S
0.639 0.729 0.798 S
0.874 0.975 0.204 S
0.118 0.211 0.048 S
0.361 0.271 0.298 S
0.624 0.451 0.931 S
0.884 0.529 0.441 S
0.382 0.791 0.573 S
0.142 0.765 0.294 S
0.617 0.491 0.192 S
0.382 0.709 0.073 S
0.142 0.735 0.794 S
0.361 0.229 0.798 S
0.118 0.289 0.548 S
0.383 0.991 0.192 S
0.618 0.209 0.073 S
0.858 0.265 0.294 S
0.116 0.029 0.441 S
0.383 0.509 0.692 S
0.376 0.951 0.931 S
0.116 0.471 0.941 S
0.884 0.971 0.941 S
0.858 0.235 0.794 S
0.126 0.475 0.204 S
0.126 0.025 0.704 S
0.618 0.291 0.573 S
```



# 6
# LaMgSi2

A geometry-optimized LaMgSi2 structure (GGA-PBE, Materials Project).

The density is 4.2 g/cm3. Its space group is I4_1/amd. The calculation puts the formation energy at -0.536 eV/atom.

Cell and atoms, written as POSCAR:
```
LaMgSi2
1.0
-2.161 2.161 18.518
2.161 -2.161 18.518
2.161 2.161 -18.518
La Si Mg
4 8 4
Direct
0.423 0.423 0.000 La
0.327 0.827 0.500 La
0.577 0.577 0.000 La
0.173 0.673 0.500 La
0.048 0.048 0.000 Si
0.861 0.361 0.500 Si
0.952 0.952 0.000 Si
0.639 0.139 0.500 Si
0.702 0.202 0.500 Si
0.889 0.889 0.000 Si
0.111 0.111 0.000 Si
0.798 0.298 0.500 Si
0.000 0.500 0.500 Mg
0.250 0.250 0.000 Mg
0.750 0.750 0.000 Mg
0.500 0.000 0.500 Mg
```